Record 1
The following is a PBE with a Hubbard U calculation of an optimized crystal structure of MgCu2W2O6F4, from Materials Project.

Unit cell a=3.866 b=10.166 c=5.686 alpha=90.00 beta=109.55 gamma=90.00
Element x y z (fractional)
Mg1 0.000 0.000 0.000
Cu1 0.440 0.289 0.966
Cu2 0.440 0.711 0.966
W1 0.161 0.500 0.431
W2 0.656 0.000 0.403
O1 0.161 0.000 0.419
O2 0.271 0.366 0.651
O3 0.271 0.634 0.651
O4 0.511 0.127 0.146
O5 0.511 0.873 0.146
O6 0.628 0.500 0.365
F1 0.009 0.364 0.128
F2 0.009 0.636 0.128
F3 0.808 0.120 0.715
F4 0.808 0.880 0.715

Summary:
Energy relative to the lowest polymorph listed for this composition in meV/atom: 103.8
E_tot in Ry per atom: -0.4388
Energy relative to the elements in eV/atom: -2.090

=====

Record 2
The following is a PBE with a Hubbard U calculation of an optimized crystal structure of Te4MoO5F20, from Materials Project.

Unit cell a=9.605 b=10.267 c=10.564 alpha=71.66 beta=88.12 gamma=82.23
Element x y z (fractional)
Te1 0.170 0.032 0.190
Te2 0.174 0.543 0.195
Te3 0.299 0.181 0.682
Te4 0.302 0.694 0.679
Te5 0.698 0.306 0.321
Te6 0.701 0.819 0.318
Te7 0.826 0.457 0.805
Te8 0.830 0.968 0.810
Mo1 0.273 0.843 0.946
Mo2 0.727 0.157 0.054
O1 0.156 0.730 0.078
O2 0.218 0.752 0.823
O3 0.252 0.974 0.050
O4 0.320 0.995 0.798
O5 0.434 0.758 0.993
O6 0.566 0.242 0.007
O7 0.680 0.005 0.202
O8 0.748 0.026 0.950
O9 0.782 0.248 0.177
O10 0.844 0.270 0.922
F1 0.005 0.517 0.130
F2 0.014 0.979 0.868
F3 0.073 0.597 0.328
F4 0.080 0.088 0.327
F5 0.128 0.667 0.627
F6 0.135 0.155 0.609
F7 0.148 0.217 0.083
F8 0.182 0.850 0.304
F9 0.194 0.359 0.306
F10 0.196 0.239 0.813
F11 0.274 0.876 0.565
F12 0.275 0.482 0.065
F13 0.276 0.365 0.573
F14 0.330 0.509 0.789
F15 0.342 0.565 0.267
F16 0.343 0.054 0.251
F17 0.386 0.639 0.539
F18 0.405 0.131 0.550
F19 0.466 0.210 0.751
F20 0.480 0.720 0.728
F21 0.520 0.280 0.272
F22 0.534 0.790 0.249
F23 0.595 0.869 0.450
F24 0.614 0.361 0.461
F25 0.657 0.946 0.749
F26 0.658 0.435 0.733
F27 0.670 0.491 0.211
F28 0.724 0.635 0.427
F29 0.725 0.518 0.935
F30 0.726 0.124 0.435
F31 0.804 0.761 0.187
F32 0.806 0.641 0.694
F33 0.818 0.150 0.696
F34 0.852 0.783 0.917
F35 0.865 0.845 0.391
F36 0.872 0.333 0.373
F37 0.920 0.912 0.673
F38 0.927 0.403 0.672
F39 0.986 0.021 0.132
F40 0.995 0.483 0.870

Summary:
Energy relative to the lowest polymorph listed for this composition in meV/atom: 2.8
E_tot in Ry per atom: -0.3363
Energy relative to the elements in eV/atom: -2.223

=====

Look up the energy relative to the lowest polymorph listed for this composition of the second one.
2.8 meV/atom